[1]
VASP calculation (GGA-PBE) on a geometry-optimized La7P12Pd17 structure.

Unit cell a=12.553 b=12.553 c=13.775 alpha=111.96 beta=111.96 gamma=18.91
Element x y z (fractional)
La 0.000 0.000 0.000
La 0.083 0.083 0.762
La 0.135 0.135 0.500
La 0.267 0.267 0.814
La 0.733 0.733 0.186
La 0.865 0.865 0.500
La 0.917 0.917 0.238
P 0.136 0.136 0.079
P 0.266 0.266 0.382
P 0.312 0.312 0.119
P 0.387 0.387 0.673
P 0.440 0.440 0.426
P 0.489 0.489 0.172
P 0.511 0.511 0.828
P 0.560 0.560 0.574
P 0.613 0.613 0.327
P 0.688 0.688 0.881
P 0.734 0.734 0.618
P 0.864 0.864 0.921
Pd 0.000 0.000 0.500
Pd 0.048 0.048 0.246
Pd 0.166 0.166 0.278
Pd 0.203 0.203 0.987
Pd 0.282 0.282 0.571
Pd 0.339 0.339 0.307
Pd 0.390 0.390 0.042
Pd 0.406 0.406 0.855
Pd 0.474 0.474 0.625
Pd 0.526 0.526 0.375
Pd 0.594 0.594 0.145
Pd 0.610 0.610 0.958
Pd 0.661 0.661 0.693
Pd 0.718 0.718 0.429
Pd 0.797 0.797 0.013
Pd 0.834 0.834 0.722
Pd 0.952 0.952 0.754

Summary:
Space group ... No. 12
Energy of formation from the pure elements ... -1016 meV per atom



[2]
VASP calculation (GGA-PBE) on a geometry-optimized LaPRh structure.

Unit cell a=7.816 b=7.816 c=7.816 alpha=149.30 beta=149.30 gamma=43.97
Element x y z (fractional)
La 0.000 0.000 0.000
La 0.750 0.250 0.500
P 0.330 0.830 0.500
P 0.580 0.580 0.000
Rh 0.164 0.664 0.500
Rh 0.414 0.414 0.000

Summary:
Space group ... No. 109
Energy of formation from the pure elements ... -1269 meV per atom



[3]
VASP calculation (GGA-PBE) on a geometry-optimized LaP2Rh2 structure.

Unit cell a=4.220 b=4.220 c=9.669 alpha=90.00 beta=90.00 gamma=90.00
Element x y z (fractional)
La 0.250 0.250 0.243
La 0.750 0.750 0.757
P 0.250 0.250 0.638
P 0.250 0.750 0.000
P 0.750 0.250 0.000
P 0.750 0.750 0.362
Rh 0.250 0.250 0.888
Rh 0.250 0.750 0.500
Rh 0.750 0.250 0.500
Rh 0.750 0.750 0.112

Summary:
Space group ... No. 129
Energy of formation from the pure elements ... -1129 meV per atom



[4]
VASP calculation (GGA-PBE) on a geometry-optimized La4P9Rh8 structure.

Unit cell a=11.610 b=11.610 c=5.813 alpha=90.00 beta=90.00 gamma=110.92
Element x y z (fractional)
La 0.111 0.889 0.750
La 0.140 0.411 0.750
La 0.360 0.640 0.250
La 0.411 0.140 0.250
La 0.589 0.860 0.750
La 0.640 0.360 0.750
La 0.860 0.589 0.250
La 0.889 0.111 0.250
P 0.016 0.144 0.750
P 0.117 0.635 0.002
P 0.117 0.635 0.498
P 0.144 0.016 0.250
P 0.212 0.354 0.250
P 0.354 0.212 0.750
P 0.365 0.883 0.002
P 0.365 0.883 0.498
P 0.426 0.574 0.750
P 0.574 0.426 0.250
P 0.635 0.117 0.502
P 0.635 0.117 0.998
P 0.646 0.788 0.250
P 0.788 0.646 0.750
P 0.856 0.984 0.750
P 0.883 0.365 0.502
P 0.883 0.365 0.998
P 0.984 0.856 0.250
Rh 0.060 0.453 0.250
Rh 0.181 0.181 0.000
Rh 0.181 0.181 0.500
Rh 0.184 0.816 0.250
Rh 0.292 0.708 0.750
Rh 0.394 0.394 0.000
Rh 0.394 0.394 0.500
Rh 0.453 0.060 0.750
Rh 0.547 0.940 0.250
Rh 0.606 0.606 0.000
Rh 0.606 0.606 0.500
Rh 0.708 0.292 0.250
Rh 0.816 0.184 0.750
Rh 0.819 0.819 0.000
Rh 0.819 0.819 0.500
Rh 0.940 0.547 0.750

Summary:
Space group ... No. 63
Energy of formation from the pure elements ... -1104 meV per atom



[5]
VASP calculation (GGA-PBE) on a geometry-optimized LaP2Ru2 structure.

Unit cell a=6.148 b=6.148 c=6.148 alpha=141.50 beta=141.50 gamma=55.58
Element x y z (fractional)
La 0.000 0.000 0.000
P 0.357 0.357 0.000
P 0.643 0.643 0.000
Ru 0.250 0.750 0.500
Ru 0.750 0.250 0.500

Summary:
Space group ... No. 139
Energy of formation from the pure elements ... -1048 meV per atom



[6]
VASP calculation (GGA-PBE) on a geometry-optimized La5P12Ru19 structure.

Unit cell a=12.692 b=12.692 c=4.035 alpha=90.00 beta=90.00 gamma=120.00
Element x y z (fractional)
La 0.000 0.816 0.000
La 0.184 0.184 0.000
La 0.333 0.667 0.500
La 0.667 0.333 0.500
La 0.816 0.000 0.000
P 0.000 0.188 0.500
P 0.000 0.624 0.500
P 0.169 0.475 0.000
P 0.188 0.000 0.500
P 0.306 0.831 0.000
P 0.376 0.376 0.500
P 0.475 0.169 0.000
P 0.525 0.694 0.000
P 0.624 0.000 0.500
P 0.694 0.525 0.000
P 0.812 0.812 0.500
P 0.831 0.306 0.000
Ru 0.000 0.000 0.500
Ru 0.000 0.285 0.000
Ru 0.000 0.445 0.500
Ru 0.125 0.634 0.000
Ru 0.184 0.378 0.500
Ru 0.194 0.816 0.500
Ru 0.285 0.000 0.000
Ru 0.366 0.491 0.000
Ru 0.378 0.184 0.500
Ru 0.445 0.000 0.500
Ru 0.491 0.366 0.000
Ru 0.509 0.875 0.000
Ru 0.555 0.555 0.500
Ru 0.622 0.806 0.500
Ru 0.634 0.125 0.000
Ru 0.715 0.715 0.000
Ru 0.806 0.622 0.500
Ru 0.816 0.194 0.500
Ru 0.875 0.509 0.000

Summary:
Space group ... No. 189
Energy of formation from the pure elements ... -830 meV per atom



[7]
VASP calculation (GGA-PBE) on a geometry-optimized LaPS structure.

Unit cell a=5.718 b=5.617 c=17.355 alpha=90.00 beta=90.00 gamma=90.00
Element x y z (fractional)
La 0.015 0.250 0.139
La 0.016 0.750 0.352
La 0.484 0.250 0.852
La 0.485 0.750 0.639
La 0.515 0.250 0.361
La 0.516 0.750 0.148
La 0.984 0.250 0.648
La 0.985 0.750 0.861
P 0.190 0.048 0.503
P 0.190 0.452 0.503
P 0.310 0.548 0.003
P 0.310 0.952 0.003
P 0.690 0.048 0.997
P 0.690 0.452 0.997
P 0.810 0.548 0.497
P 0.810 0.952 0.497
S 0.013 0.750 0.181
S 0.014 0.250 0.312
S 0.486 0.750 0.812
S 0.487 0.250 0.681
S 0.513 0.750 0.319
S 0.514 0.250 0.188
S 0.986 0.750 0.688
S 0.987 0.250 0.819

Summary:
Space group ... No. 62
Energy of formation from the pure elements ... -1818 meV per atom
E (MP2020) ... -6.6470 eV/atom



[8]
VASP calculation (GGA-PBE) on a geometry-optimized LaPS4 structure.

Unit cell a=12.590 b=12.590 c=12.590 alpha=127.24 beta=127.24 gamma=77.85
Element x y z (fractional)
La 0.125 0.375 0.750
La 0.125 0.875 0.250
La 0.375 0.125 0.250
La 0.375 0.625 0.750
La 0.625 0.375 0.250
La 0.625 0.875 0.750
La 0.875 0.125 0.750
La 0.875 0.625 0.250
P 0.214 0.250 0.464
P 0.250 0.286 0.036
P 0.250 0.786 0.536
P 0.286 0.750 0.036
P 0.714 0.250 0.964
P 0.750 0.214 0.464
P 0.750 0.714 0.964
P 0.786 0.750 0.536
S 0.094 0.883 0.480
S 0.097 0.386 0.980
S 0.097 0.665 0.935
S 0.114 0.403 0.520
S 0.117 0.097 0.211
S 0.162 0.097 0.932
S 0.165 0.597 0.435
S 0.230 0.162 0.565
S 0.270 0.835 0.932
S 0.335 0.770 0.432
S 0.338 0.270 0.935
S 0.383 0.594 0.980
S 0.386 0.906 0.289
S 0.403 0.338 0.568
S 0.403 0.383 0.289
S 0.406 0.886 0.789
S 0.594 0.114 0.211
S 0.597 0.617 0.711
S 0.597 0.662 0.432
S 0.614 0.094 0.711
S 0.617 0.406 0.020
S 0.662 0.730 0.065
S 0.665 0.230 0.568
S 0.730 0.165 0.068
S 0.770 0.838 0.435
S 0.835 0.403 0.565
S 0.838 0.903 0.068
S 0.883 0.903 0.789
S 0.886 0.597 0.480
S 0.903 0.335 0.065
S 0.903 0.614 0.020
S 0.906 0.117 0.520

Summary:
Space group ... No. 142
Energy of formation from the pure elements ... -1472 meV per atom
E (MP2020) ... -5.9545 eV/atom



[9]
VASP calculation (GGA-PBE) on a geometry-optimized LaTl2P2S7 structure.

Unit cell a=11.010 b=11.010 c=9.426 alpha=107.55 beta=107.55 gamma=35.73
Element x y z (fractional)
La 0.153 0.153 0.338
La 0.847 0.847 0.662
Tl 0.187 0.187 0.827
Tl 0.490 0.490 0.247
Tl 0.510 0.510 0.753
Tl 0.813 0.813 0.173
P 0.046 0.046 0.966
P 0.335 0.335 0.431
P 0.665 0.665 0.569
P 0.954 0.954 0.034
S 0.011 0.011 0.740
S 0.147 0.655 0.940
S 0.153 0.640 0.459
S 0.266 0.266 0.221
S 0.287 0.287 0.591
S 0.345 0.853 0.060
S 0.360 0.847 0.541
S 0.640 0.153 0.459
S 0.655 0.147 0.940
S 0.713 0.713 0.409
S 0.734 0.734 0.779
S 0.847 0.360 0.541
S 0.853 0.345 0.060
S 0.989 0.989 0.260

Summary:
Space group ... No. 12
Energy of formation from the pure elements ... -1073 meV per atom
E (MP2020) ... -5.1930 eV/atom



[10]
VASP calculation (GGA-PBE) on a geometry-optimized LaTlP2S6 structure.

Unit cell a=12.164 b=7.580 c=11.529 alpha=90.00 beta=109.47 gamma=90.00
Element x y z (fractional)
La 0.148 0.106 0.402
La 0.148 0.394 0.902
La 0.852 0.606 0.098
La 0.852 0.894 0.598
Tl 0.374 0.590 0.626
Tl 0.374 0.910 0.126
Tl 0.626 0.090 0.874
Tl 0.626 0.410 0.374
P 0.173 0.600 0.245
P 0.173 0.900 0.745
P 0.289 0.122 0.729
P 0.289 0.378 0.229
P 0.711 0.622 0.771
P 0.711 0.878 0.271
P 0.827 0.100 0.255
P 0.827 0.400 0.755
S 0.056 0.016 0.815
S 0.056 0.484 0.315
S 0.091 0.687 0.069
S 0.091 0.813 0.569
S 0.172 0.192 0.135
S 0.172 0.308 0.635
S 0.278 0.714 0.855
S 0.278 0.786 0.355
S 0.369 0.210 0.903
S 0.369 0.290 0.403
S 0.383 0.027 0.629
S 0.383 0.473 0.129
S 0.617 0.527 0.871
S 0.617 0.973 0.371
S 0.631 0.710 0.597
S 0.631 0.790 0.097
S 0.722 0.214 0.645
S 0.722 0.286 0.145
S 0.828 0.692 0.365
S 0.828 0.808 0.865
S 0.909 0.187 0.431
S 0.909 0.313 0.931
S 0.944 0.516 0.685
S 0.944 0.984 0.185

Summary:
Space group ... No. 14
Energy of formation from the pure elements ... -1145 meV per atom
E (MP2020) ... -5.4393 eV/atom



[11]
VASP calculation (GGA-PBE) on a geometry-optimized LaTlP2Se6 structure.

Unit cell a=12.490 b=7.874 c=12.016 alpha=90.00 beta=109.75 gamma=90.00
Element x y z (fractional)
La 0.151 0.104 0.405
La 0.151 0.396 0.905
La 0.849 0.604 0.095
La 0.849 0.896 0.595
Tl 0.371 0.590 0.625
Tl 0.371 0.910 0.125
Tl 0.629 0.090 0.875
Tl 0.629 0.410 0.375
P 0.179 0.598 0.247
P 0.179 0.902 0.747
P 0.293 0.118 0.734
P 0.293 0.382 0.234
P 0.707 0.618 0.766
P 0.707 0.882 0.266
P 0.821 0.098 0.253
P 0.821 0.402 0.753
Se 0.054 0.024 0.818
Se 0.054 0.476 0.318
Se 0.091 0.692 0.066
Se 0.091 0.808 0.566
Se 0.171 0.189 0.134
Se 0.171 0.311 0.634
Se 0.292 0.710 0.862
Se 0.292 0.790 0.362
Se 0.374 0.212 0.916
Se 0.374 0.288 0.416
Se 0.392 0.019 0.629
Se 0.392 0.481 0.129
Se 0.608 0.519 0.871
Se 0.608 0.981 0.371
Se 0.626 0.712 0.584
Se 0.626 0.788 0.084
Se 0.708 0.210 0.638
Se 0.708 0.290 0.138
Se 0.829 0.689 0.366
Se 0.829 0.811 0.866
Se 0.909 0.192 0.434
Se 0.909 0.308 0.934
Se 0.946 0.524 0.682
Se 0.946 0.976 0.182

Summary:
Space group ... No. 14
Energy of formation from the pure elements ... -976 meV per atom
E (MP2020) ... -4.8863 eV/atom



[12]
VASP calculation (GGA-PBE) on a geometry-optimized LaSiP3 structure.

Unit cell a=5.977 b=25.586 c=5.785 alpha=90.00 beta=90.00 gamma=90.00
Element x y z (fractional)
La 0.018 0.090 0.000
La 0.020 0.401 0.500
La 0.480 0.901 0.000
La 0.482 0.590 0.500
La 0.518 0.410 0.000
La 0.520 0.099 0.500
La 0.980 0.599 0.000
La 0.982 0.910 0.500
Si 0.065 0.794 0.081
Si 0.113 0.291 0.078
Si 0.387 0.791 0.578
Si 0.435 0.294 0.581
Si 0.565 0.706 0.081
Si 0.613 0.209 0.078
Si 0.887 0.709 0.578
Si 0.935 0.206 0.581
P 0.014 0.373 0.998
P 0.022 0.124 0.498
P 0.027 0.788 0.470
P 0.078 0.284 0.468
P 0.181 0.502 0.203
P 0.183 0.502 0.807
P 0.317 0.002 0.307
P 0.319 0.002 0.703
P 0.422 0.784 0.968
P 0.473 0.288 0.970
P 0.478 0.624 0.998
P 0.486 0.873 0.498
P 0.514 0.127 0.998
P 0.522 0.376 0.498
P 0.527 0.712 0.470
P 0.578 0.216 0.468
P 0.681 0.998 0.203
P 0.683 0.998 0.807
P 0.817 0.498 0.307
P 0.819 0.498 0.703
P 0.922 0.716 0.968
P 0.973 0.212 0.970
P 0.978 0.876 0.998
P 0.986 0.627 0.498

Summary:
Space group ... No. 33
Energy of formation from the pure elements ... -734 meV per atom
Offset from the most stable computed form ... 0.00 eV per formula unit



- Which formula does entry 12 have?
  LaSiP3



- What is the formula in the ninth record?
  LaTl2P2S7



- Look up the energy of formation from the pure elements of the second one.
  -1269 meV per atom